1.
An optimized crystal structure of LiBi2I2O2, computed with PBE.

Electronic total energy ... -4.008 eV per atom
E (MP2020) ... -4.204 eV/atom
Polymorph energy (0 for the lowest one) ... 107.1 kJ/mol of formula units
Spin magnetization ... 0.0000 μB per atom
Crystal system ... tetragonal
Energy of formation ... -971 meV/atom
V ... 24.9 Å³ per atom

Lattice parameters (Å, degrees): 4.101 4.101 10.377 90.00 90.00 90.00
Sites, in units of the cell vectors:
Li 0.750 0.750 0.074
Bi 0.750 0.750 0.826
Bi 0.250 0.250 0.126
I 0.250 0.250 0.686
I 0.750 0.750 0.330
O 0.750 0.250 0.020
O 0.250 0.750 0.020



2.
An optimized crystal structure of Rb2LiBiI6, computed with PBE.

Electronic total energy ... -2.690 eV per atom
E (MP2020) ... -2.918 eV/atom
Spin magnetization ... 0.0005 μB per atom
Crystal system ... cubic
Energy of formation ... -1227 meV/atom
V ... 44.6 Å³ per atom

Lattice parameters (Å, degrees): 8.576 8.576 8.576 60.00 60.00 60.00
Sites, in units of the cell vectors:
Rb 0.750 0.750 0.750
Rb 0.250 0.250 0.250
Li 0.500 0.500 0.500
Bi 0.000 0.000 0.000
I 0.746 0.254 0.254
I 0.254 0.254 0.746
I 0.254 0.746 0.746
I 0.254 0.746 0.254
I 0.746 0.254 0.746
I 0.746 0.746 0.254



3.
An optimized crystal structure of LuBi2IO4, computed with PBE.

Electronic total energy ... -6.146 eV per atom
E (MP2020) ... -6.489 eV/atom
Spin magnetization ... 0.0001 μB per atom
Crystal system ... tetragonal
Energy of formation ... -2287 meV/atom
V ... 18.5 Å³ per atom

Lattice parameters (Å, degrees): 3.903 3.903 9.695 90.00 90.00 90.00
Sites, in units of the cell vectors:
Lu 0.000 0.000 0.000
Bi 0.500 0.500 0.254
Bi 0.500 0.500 0.746
I 0.000 0.000 0.500
O 0.500 0.000 0.863
O 0.000 0.500 0.863
O 0.500 0.000 0.137
O 0.000 0.500 0.137



4.
An optimized crystal structure of MnBiSe2I, computed with PBE.

Electronic total energy ... -4.713 eV per atom
E (MP2020) ... -4.788 eV/atom
Spin magnetization ... 0.9998 μB per atom
Crystal system ... monoclinic
Energy of formation ... -475 meV/atom
V ... 28.4 Å³ per atom

Lattice parameters (Å, degrees): 7.077 7.077 10.158 88.22 88.22 33.96
Sites, in units of the cell vectors:
Mn 0.500 0.500 0.000
Mn 0.500 0.500 0.500
Bi 0.211 0.211 0.189
Bi 0.789 0.789 0.811
Se 0.430 0.430 0.757
Se 0.135 0.135 0.942
Se 0.570 0.570 0.243
Se 0.865 0.865 0.058
I 0.135 0.135 0.571
I 0.865 0.865 0.429



5.
An optimized crystal structure of Ni4Bi12I3, computed with PBE.

Electronic total energy ... -4.045 eV per atom
E (MP2020) ... -4.104 eV/atom
Spin magnetization ... 0.0000 μB per atom
Crystal system ... orthorhombic
Energy of formation ... -190 meV/atom
V ... 30.2 Å³ per atom

Lattice parameters (Å, degrees): 8.302 8.302 34.931 90.00 90.00 151.51
Sites, in units of the cell vectors:
Ni 0.515 0.485 0.854
Ni 0.485 0.515 0.146
Ni 0.485 0.515 0.354
Ni 0.515 0.485 0.646
Ni 0.937 0.063 0.879
Ni 0.063 0.937 0.121
Ni 0.063 0.937 0.379
Ni 0.937 0.063 0.621
Bi 0.984 0.016 0.802
Bi 0.016 0.984 0.198
Bi 0.016 0.984 0.302
Bi 0.984 0.016 0.698
Bi 0.339 0.661 0.853
Bi 0.661 0.339 0.147
Bi 0.661 0.339 0.353
Bi 0.339 0.661 0.647
Bi 0.112 0.888 0.880
Bi 0.888 0.112 0.120
Bi 0.888 0.112 0.380
Bi 0.112 0.888 0.620
Bi 0.468 0.532 0.931
Bi 0.532 0.468 0.069
Bi 0.532 0.468 0.431
Bi 0.468 0.532 0.569
Bi 0.643 0.357 0.802
Bi 0.357 0.643 0.198
Bi 0.357 0.643 0.302
Bi 0.643 0.357 0.698
Bi 0.807 0.193 0.928
Bi 0.193 0.807 0.072
Bi 0.193 0.807 0.428
Bi 0.807 0.193 0.572
I 0.130 0.870 0.976
I 0.870 0.130 0.024
I 0.870 0.130 0.476
I 0.130 0.870 0.524
I 0.320 0.680 0.750
I 0.680 0.320 0.250



6.
An optimized crystal structure of Ni8Bi8SI2, computed with PBE.

Electronic total energy ... -4.624 eV per atom
E (MP2020) ... -4.690 eV/atom
Spin magnetization ... 0.0000 μB per atom
Crystal system ... orthorhombic
Energy of formation ... -241 meV/atom
V ... 23.8 Å³ per atom

Lattice parameters (Å, degrees): 4.183 9.971 21.711 90.00 90.00 90.00
Sites, in units of the cell vectors:
Ni 0.750 0.312 0.970
Ni 0.750 0.688 0.030
Ni 0.250 0.812 0.530
Ni 0.250 0.188 0.470
Ni 0.250 0.589 0.086
Ni 0.250 0.411 0.914
Ni 0.750 0.089 0.414
Ni 0.750 0.911 0.586
Ni 0.249 0.324 0.042
Ni 0.249 0.676 0.958
Ni 0.751 0.824 0.458
Ni 0.751 0.176 0.542
Ni 0.750 0.439 0.089
Ni 0.750 0.561 0.911
Ni 0.250 0.939 0.411
Ni 0.250 0.061 0.589
Bi 0.250 0.379 0.166
Bi 0.250 0.621 0.834
Bi 0.750 0.879 0.334
Bi 0.750 0.121 0.666
Bi 0.750 0.167 0.079
Bi 0.750 0.833 0.921
Bi 0.250 0.667 0.421
Bi 0.250 0.333 0.579
Bi 0.250 0.144 0.947
Bi 0.250 0.856 0.053
Bi 0.750 0.644 0.553
Bi 0.750 0.356 0.447
Bi 0.750 0.672 0.156
Bi 0.750 0.328 0.844
Bi 0.250 0.172 0.344
Bi 0.250 0.828 0.656
S 0.495 0.500 0.000
S 0.505 0.000 0.500
I 0.250 0.005 0.796
I 0.250 0.995 0.204
I 0.750 0.505 0.704
I 0.750 0.495 0.296



7.
An optimized crystal structure of BiIO4, computed with PBE.

Electronic total energy ... -4.979 eV per atom
E (MP2020) ... -5.437 eV/atom
Crystal system ... orthorhombic
Energy of formation ... -1236 meV/atom
V ... 15.6 Å³ per atom

Lattice parameters (Å, degrees): 5.737 5.810 11.267 90.00 90.00 90.00
Sites, in units of the cell vectors:
Bi 0.476 0.302 0.891
Bi 0.524 0.802 0.109
Bi 0.024 0.802 0.891
Bi 0.976 0.302 0.109
I 0.003 0.329 0.634
I 0.997 0.829 0.366
I 0.497 0.829 0.634
I 0.503 0.329 0.366
O 0.233 0.074 0.998
O 0.767 0.574 0.002
O 0.267 0.574 0.998
O 0.733 0.074 0.002
O 0.122 0.424 0.781
O 0.878 0.924 0.219
O 0.378 0.924 0.781
O 0.622 0.424 0.219
O 0.847 0.084 0.703
O 0.153 0.584 0.297
O 0.653 0.584 0.703
O 0.347 0.084 0.297
O 0.253 0.175 0.567
O 0.747 0.675 0.433
O 0.247 0.675 0.567
O 0.753 0.175 0.433



8.
An optimized crystal structure of Rb3Bi7Pb3I10O10, computed with PBE.

Electronic total energy ... -4.048 eV per atom
E (MP2020) ... -4.256 eV/atom
Spin magnetization ... 0.0000 μB per atom
Crystal system ... triclinic
Energy of formation ... -1043 meV/atom
V ... 35.1 Å³ per atom

Lattice parameters (Å, degrees): 6.665 8.616 21.037 80.62 82.69 77.51
Sites, in units of the cell vectors:
Rb 0.253 0.548 0.410
Rb 0.006 0.388 0.730
Rb 0.399 0.746 0.689
Bi 0.798 0.903 0.993
Bi 0.340 0.149 0.003
Bi 0.509 0.016 0.164
Bi 0.398 0.430 0.141
Bi 0.655 0.791 0.368
Bi 0.229 0.978 0.491
Bi 0.749 0.533 0.908
Pb 0.142 0.941 0.277
Pb 0.506 0.256 0.580
Pb 0.723 0.904 0.816
I 0.814 0.507 0.084
I 0.279 0.553 0.961
I 0.027 0.605 0.257
I 0.011 0.991 0.115
I 0.782 0.346 0.455
I 0.355 0.164 0.360
I 0.109 0.608 0.574
I 0.864 0.022 0.658
I 0.526 0.313 0.818
I 0.144 0.989 0.843
O 0.402 0.230 0.090
O 0.510 0.930 0.055
O 0.439 0.780 0.308
O 0.503 0.236 0.208
O 0.397 0.060 0.550
O 0.453 0.789 0.455
O 0.811 0.631 0.813
O 0.454 0.424 0.733
O 0.639 0.133 0.948
O 0.691 0.779 0.925



Which of these has the lowest V?
BiIO4



Among the records above, which one has the lowest energy of formation?
LuBi2IO4



Which formula does entry 6 have?
Ni8Bi8SI2



Repeat the sixth record exactly.
An optimized crystal structure of Ni8Bi8SI2, computed with PBE.

Electronic total energy ... -4.624 eV per atom
E (MP2020) ... -4.690 eV/atom
Spin magnetization ... 0.0000 μB per atom
Crystal system ... orthorhombic
Energy of formation ... -241 meV/atom
V ... 23.8 Å³ per atom

Lattice parameters (Å, degrees): 4.183 9.971 21.711 90.00 90.00 90.00
Sites, in units of the cell vectors:
Ni 0.750 0.312 0.970
Ni 0.750 0.688 0.030
Ni 0.250 0.812 0.530
Ni 0.250 0.188 0.470
Ni 0.250 0.589 0.086
Ni 0.250 0.411 0.914
Ni 0.750 0.089 0.414
Ni 0.750 0.911 0.586
Ni 0.249 0.324 0.042
Ni 0.249 0.676 0.958
Ni 0.751 0.824 0.458
Ni 0.751 0.176 0.542
Ni 0.750 0.439 0.089
Ni 0.750 0.561 0.911
Ni 0.250 0.939 0.411
Ni 0.250 0.061 0.589
Bi 0.250 0.379 0.166
Bi 0.250 0.621 0.834
Bi 0.750 0.879 0.334
Bi 0.750 0.121 0.666
Bi 0.750 0.167 0.079
Bi 0.750 0.833 0.921
Bi 0.250 0.667 0.421
Bi 0.250 0.333 0.579
Bi 0.250 0.144 0.947
Bi 0.250 0.856 0.053
Bi 0.750 0.644 0.553
Bi 0.750 0.356 0.447
Bi 0.750 0.672 0.156
Bi 0.750 0.328 0.844
Bi 0.250 0.172 0.344
Bi 0.250 0.828 0.656
S 0.495 0.500 0.000
S 0.505 0.000 0.500
I 0.250 0.005 0.796
I 0.250 0.995 0.204
I 0.750 0.505 0.704
I 0.750 0.495 0.296